Entry P
A geometry-optimized Li2Cr3CuO8 structure. Source: the Materials Project database, functional GGA+U.

abc: 8.3518 8.3570 8.3835
angles: 89.72 89.87 89.66
Fractional positions:
Li1 0.0000 0.0000 0.0000
Li2 0.0010 0.5000 0.5015
Li3 0.2447 0.7480 0.7488
Li4 0.2472 0.2512 0.2453
Li5 0.4973 0.4985 0.0010
Li6 0.5009 0.9974 0.4981
Li7 0.7436 0.7497 0.2471
Li8 0.7471 0.2484 0.7479
Cr1 0.1211 0.8714 0.3726
Cr2 0.1232 0.6230 0.1222
Cr3 0.1248 0.1244 0.6204
Cr4 0.3705 0.1256 0.8739
Cr5 0.3719 0.8736 0.1224
Cr6 0.3725 0.3768 0.6259
Cr7 0.6187 0.6237 0.6274
Cr8 0.6223 0.3753 0.3717
Cr9 0.6222 0.8737 0.8739
Cr10 0.8733 0.3740 0.1248
Cr11 0.8729 0.6264 0.8740
Cr12 0.8737 0.1228 0.3718
Cu1 0.1231 0.3742 0.8743
Cu2 0.3706 0.6230 0.3738
Cu3 0.6237 0.1234 0.1211
Cu4 0.8736 0.8728 0.6240
O1 0.1010 0.3864 0.1155
O2 0.1061 0.1098 0.3798
O3 0.1063 0.6151 0.8867
O4 0.1169 0.8866 0.6008
O5 0.1301 0.8619 0.1445
O6 0.1382 0.6352 0.3623
O7 0.1439 0.1264 0.8579
O8 0.1439 0.3635 0.6356
O9 0.3555 0.8533 0.3652
O10 0.3563 0.6383 0.1269
O11 0.3655 0.1430 0.6332
O12 0.3708 0.3538 0.8614
O13 0.3805 0.6016 0.6245
O14 0.3824 0.1118 0.1085
O15 0.3823 0.3938 0.3860
O16 0.3828 0.8925 0.8831
O17 0.6035 0.3820 0.6110
O18 0.6028 0.6140 0.3885
O19 0.6052 0.1058 0.8773
O20 0.6081 0.8803 0.1015
O21 0.6331 0.8631 0.6451
O22 0.6335 0.6435 0.8675
O23 0.6444 0.1364 0.3653
O24 0.6445 0.3636 0.1325
O25 0.8576 0.6263 0.6464
O26 0.8591 0.8564 0.8704
O27 0.8655 0.3626 0.3555
O28 0.8700 0.1386 0.1425
O29 0.8775 0.3924 0.8907
O30 0.8819 0.6131 0.1062
O31 0.8844 0.1146 0.6015
O32 0.8901 0.8855 0.3793

Entry Q
A geometry-optimized Li2Cr3CuO8 structure. Source: the Materials Project database, functional GGA+U.

abc: 5.9176 5.9176 5.9176
angles: 59.86 59.86 59.86
Fractional positions:
Li1 0.1268 0.1268 0.1268
Li2 0.8732 0.8732 0.8732
Cr1 0.0000 0.5000 0.5000
Cr2 0.5000 0.0000 0.5000
Cr3 0.5000 0.5000 0.0000
Cu1 0.5000 0.5000 0.5000
O1 0.2556 0.2556 0.7074
O2 0.2556 0.7074 0.2556
O3 0.2609 0.2609 0.2609
O4 0.2926 0.7444 0.7444
O5 0.7074 0.2556 0.2556
O6 0.7391 0.7391 0.7391
O7 0.7444 0.2926 0.7444
O8 0.7444 0.7444 0.2926

Entry R
A geometry-optimized Li2Cr3CuO8 structure. Source: the Materials Project database, functional GGA+U.

abc: 5.9087 5.9087 5.9087
angles: 59.48 59.48 59.48
Fractional positions:
Li1 0.0000 0.0000 0.0000
Li2 0.3760 0.3760 0.3760
Cr1 0.3746 0.3746 0.8832
Cr2 0.3746 0.8832 0.3746
Cr3 0.8832 0.3746 0.3746
Cu1 0.7552 0.7552 0.7552
O1 0.1244 0.1244 0.5867
O2 0.1244 0.5867 0.1244
O3 0.1362 0.1362 0.1362
O4 0.1644 0.6244 0.6244
O5 0.5867 0.1244 0.1244
O6 0.6179 0.6179 0.6179
O7 0.6244 0.1644 0.6244
O8 0.6244 0.6244 0.1644

Entry S
A geometry-optimized Li2Cr3CuO8 structure. Source: the Materials Project database, functional GGA+U.

abc: 5.7709 5.7709 9.6573
angles: 90.00 90.00 120.00
Fractional positions:
Li1 0.0000 0.0000 0.0000
Li2 0.0000 0.0000 0.5000
Li3 0.3333 0.6667 0.3971
Li4 0.6667 0.3333 0.8971
Cr1 0.1717 0.3435 0.7182
Cr2 0.1717 0.8283 0.7182
Cr3 0.3435 0.1717 0.2182
Cr4 0.6565 0.8283 0.7182
Cr5 0.8283 0.1717 0.2182
Cr6 0.8283 0.6565 0.2182
Cu1 0.3333 0.6667 0.9987
Cu2 0.6667 0.3333 0.4987
O1 0.0000 0.0000 0.3135
O2 0.0000 0.0000 0.8135
O3 0.0356 0.5178 0.8332
O4 0.1572 0.3145 0.1130
O5 0.1572 0.8428 0.1130
O6 0.3145 0.1572 0.6130
O7 0.3333 0.6667 0.6036
O8 0.4822 0.5178 0.8332
O9 0.4822 0.9644 0.8332
O10 0.5178 0.0356 0.3332
O11 0.5178 0.4822 0.3332
O12 0.6667 0.3333 0.1036
O13 0.6855 0.8428 0.1130
O14 0.8428 0.1572 0.6130
O15 0.8428 0.6855 0.6130
O16 0.9644 0.4822 0.3332

Result of the stability comparison: entry P is the most stable of them.

Entry P
A geometry-optimized Li2V4CrCuO12 structure. Source: the Materials Project database, functional GGA+U.

abc: 6.9239 6.9239 5.6504
angles: 107.77 107.77 76.54
Fractional positions:
Li1 0.0000 0.0000 0.0000
Li2 0.5471 0.4529 0.5000
V1 0.0996 0.3489 0.5418
V2 0.4482 0.1126 0.9831
V3 0.6511 0.9004 0.4582
V4 0.8874 0.5518 0.0169
Cr1 0.1920 0.8080 0.5000
Cu1 0.3727 0.6273 0.0000
O1 0.0708 0.7164 0.1181
O2 0.1489 0.0829 0.4348
O3 0.2652 0.5328 0.5808
O4 0.2836 0.9292 0.8819
O5 0.2928 0.3382 0.9212
O6 0.4672 0.7348 0.4192
O7 0.5557 0.1436 0.3199
O8 0.6358 0.0509 0.8142
O9 0.6618 0.7072 0.0788
O10 0.8564 0.4443 0.6801
O11 0.9171 0.8511 0.5652
O12 0.9491 0.3641 0.1858

Entry Q
A geometry-optimized Li2V4CrCuO12 structure. Source: the Materials Project database, functional GGA+U.

abc: 6.8742 6.8742 5.8133
angles: 105.72 105.72 82.58
Fractional positions:
Li1 0.0000 0.0000 0.0000
Li2 0.5157 0.4843 0.5000
V1 0.1565 0.4352 0.0121
V2 0.3709 0.0402 0.4827
V3 0.5648 0.8435 0.9879
V4 0.9598 0.6291 0.5173
Cr1 0.8483 0.1517 0.5000
Cu1 0.6675 0.3325 0.0000
O1 0.1197 0.1348 0.4194
O2 0.1306 0.6013 0.8190
O3 0.1338 0.5769 0.3080
O4 0.3954 0.3244 0.0625
O5 0.3987 0.8694 0.1810
O6 0.4231 0.8662 0.6920
O7 0.5696 0.2120 0.5830
O8 0.6756 0.6046 0.9375
O9 0.7485 0.0270 0.1244
O10 0.7880 0.4304 0.4170
O11 0.8652 0.8803 0.5806
O12 0.9730 0.2515 0.8756

Result of the stability comparison: entry P is the most stable of them.

Entry P
A geometry-optimized MgCr4Cu2O8 structure. Source: the Materials Project database, functional GGA+U.

abc: 6.0625 6.0625 6.2802
angles: 119.55 119.55 60.72
Fractional positions:
Mg1 0.0000 0.0000 0.0000
Cr1 0.0168 0.4801 0.9963
Cr2 0.5199 0.9832 0.0037
Cr3 0.5221 0.4779 0.0000
Cr4 0.5349 0.4652 0.5000
Cu1 0.2567 0.0122 0.4868
Cu2 0.9878 0.7433 0.5132
O1 0.2752 0.2327 0.2193
O2 0.2816 0.6892 0.2181
O3 0.2865 0.2537 0.8128
O4 0.3108 0.7184 0.7819
O5 0.7326 0.2386 0.2249
O6 0.7463 0.7135 0.1872
O7 0.7614 0.2674 0.7751
O8 0.7673 0.7248 0.7807

Entry Q
A geometry-optimized MgCr4Cu2O8 structure. Source: the Materials Project database, functional GGA+U.

abc: 6.6741 6.4083 6.3862
angles: 62.88 58.72 58.40
Fractional positions:
Mg1 0.0000 0.0000 0.0000
Cr1 0.4214 0.8699 0.8679
Cr2 0.8408 0.8679 0.8699
Cr3 0.8679 0.8408 0.4214
Cr4 0.8699 0.4214 0.8408
Cu1 0.2500 0.2500 0.2500
Cu2 0.5000 0.5000 0.5000
O1 0.0715 0.6375 0.6381
O2 0.1101 0.6519 0.1265
O3 0.1116 0.1265 0.6519
O4 0.1265 0.1116 0.1101
O5 0.6375 0.0715 0.6528
O6 0.6381 0.6528 0.0715
O7 0.6519 0.1101 0.1116
O8 0.6528 0.6381 0.6375

Result of the stability comparison: entry P is the most stable of them.

Entry P
A geometry-optimized MgCr2Cu2W4O16 structure. Source: the Materials Project database, functional GGA+U.

abc: 7.5354 7.5354 5.1052
angles: 90.98 90.98 99.70
Fractional positions:
Mg1 0.0000 0.0000 0.0000
Cr1 0.2651 0.7349 0.0000
Cr2 0.6306 0.3694 0.5000
Cu1 0.1301 0.8699 0.5000
Cu2 0.7738 0.2262 0.0000
W1 0.1224 0.3891 0.4934
W2 0.3117 0.2429 0.9978
W3 0.6109 0.8776 0.5066
W4 0.7571 0.6883 0.0022
O1 0.0154 0.7486 0.1455
O2 0.0533 0.2459 0.8053
O3 0.1448 0.1517 0.2907
O4 0.1499 0.6109 0.6674
O5 0.2514 0.9846 0.8545
O6 0.2532 0.4804 0.1672
O7 0.3781 0.3582 0.6453
O8 0.3891 0.8501 0.3326
O9 0.5196 0.7468 0.8328
O10 0.5316 0.2557 0.1640
O11 0.6327 0.1141 0.6324
O12 0.6418 0.6219 0.3547
O13 0.7443 0.4684 0.8360
O14 0.7541 0.9467 0.1947
O15 0.8483 0.8552 0.7093
O16 0.8859 0.3673 0.3676

Entry Q
A geometry-optimized MgCr2Cu2W4O16 structure. Source: the Materials Project database, functional GGA+U.

abc: 7.6159 7.6159 5.0267
angles: 90.40 90.40 101.00
Fractional positions:
Mg1 0.0000 0.0000 0.0000
Cr1 0.1260 0.8740 0.5000
Cr2 0.7677 0.2323 0.0000
Cu1 0.2792 0.7208 0.0000
Cu2 0.6062 0.3938 0.5000
W1 0.1108 0.3903 0.5040
W2 0.3098 0.2387 0.0124
W3 0.6097 0.8892 0.4960
W4 0.7613 0.6902 0.9876
O1 0.0007 0.7620 0.1664
O2 0.0193 0.2471 0.8290
O3 0.1274 0.6210 0.6367
O4 0.1410 0.1287 0.3147
O5 0.2380 0.9993 0.8336
O6 0.2501 0.4633 0.1852
O7 0.3462 0.3618 0.6653
O8 0.3790 0.8726 0.3633
O9 0.5333 0.2471 0.1587
O10 0.5367 0.7499 0.8148
O11 0.6382 0.6538 0.3347
O12 0.6479 0.1094 0.6724
O13 0.7529 0.4667 0.8413
O14 0.7529 0.9807 0.1710
O15 0.8713 0.8590 0.6853
O16 0.8906 0.3521 0.3276

Result of the stability comparison: entry P is the most stable of them.